Li2AgSn | r2SCAN | optimized geometry

Magnetic moment   0.00 μB/f.u.
ΔH_f (0 K)   -150 kJ/mol of formula units

abc: 4.622 4.622 4.622
angles: 60.00 60.00 60.00
Element x y z (fractional)
Ag1 0.750 0.750 0.750
Sn1 0.000 0.000 0.000
Li1 0.500 0.500 0.500
Li2 0.250 0.250 0.250


UGa | r2SCAN | optimized geometry

Magnetic moment   2.02 μB/f.u.
ΔH_f (0 K)   -33 kJ/mol of formula units

abc: 2.911 2.911 5.316
angles: 90.00 90.00 120.00
Element x y z (fractional)
Ga1 0.667 0.333 0.500
U1 0.333 0.667 0.000


HoLuTl2 | r2SCAN | optimized geometry

Magnetic moment   0.00 μB/f.u.
ΔH_f (0 K)   -147 kJ/mol of formula units

abc: 5.272 5.272 5.272
angles: 60.00 60.00 60.00
Element x y z (fractional)
Tl1 0.000 0.000 0.000
Tl2 0.500 0.500 0.500
Lu1 0.750 0.750 0.750
Ho1 0.250 0.250 0.250


MgSc2Al | r2SCAN | optimized geometry

Magnetic moment   0.00 μB/f.u.
ΔH_f (0 K)   -111 kJ/mol of formula units

abc: 4.900 4.900 4.900
angles: 60.00 60.00 60.00
Element x y z (fractional)
Sc1 0.500 0.500 0.500
Sc2 0.000 0.000 0.000
Mg1 0.750 0.750 0.750
Al1 0.250 0.250 0.250


Li4Ni5O10 | r2SCAN | optimized geometry

Magnetic moment   4.00 μB/f.u.
ΔH_f (0 K)   -2733 kJ/mol of formula units

abc: 5.022 5.740 6.337
angles: 104.37 96.75 107.57
Element x y z (fractional)
O1 0.520 0.762 0.488
O2 0.123 0.965 0.682
O3 0.677 0.164 0.874
O4 0.102 0.419 0.702
O5 0.480 0.238 0.512
O6 0.330 0.374 0.091
O7 0.323 0.836 0.126
O8 0.898 0.581 0.298
O9 0.670 0.626 0.909
O10 0.877 0.035 0.318
Ni1 0.605 0.703 0.202
Ni2 0.395 0.297 0.798
Ni3 0.000 0.500 0.000
Ni4 0.203 0.903 0.399
Ni5 0.797 0.097 0.601
Li1 0.599 0.193 0.189
Li2 0.805 0.613 0.611
Li3 0.401 0.807 0.811
Li4 0.195 0.387 0.389


HoMn4Al8 | r2SCAN | optimized geometry

Magnetic moment   10.77 μB/f.u.
ΔH_f (0 K)   -514 kJ/mol of formula units

abc: 5.201 6.747 6.747
angles: 81.46 67.33 67.33
Element x y z (fractional)
Mn1 0.000 0.000 0.500
Mn2 0.500 0.000 0.500
Mn3 0.500 0.500 0.000
Mn4 0.000 0.500 0.000
Al1 0.275 0.225 0.225
Al2 0.725 0.775 0.775
Al3 0.000 0.659 0.341
Al4 0.341 0.659 0.659
Al5 0.500 0.775 0.225
Al6 0.500 0.225 0.775
Al7 0.000 0.341 0.659
Al8 0.659 0.341 0.341
Ho1 0.000 0.000 0.000


CuClO | r2SCAN | optimized geometry

Magnetic moment   0.00 μB/f.u.
ΔH_f (0 K)   -129 kJ/mol of formula units

abc: 6.239 6.236 5.275
angles: 90.00 113.05 90.00
Element x y z (fractional)
Cu1 0.962 0.114 0.712
Cu2 0.962 0.386 0.212
Cu3 0.038 0.614 0.788
Cu4 0.038 0.886 0.288
O1 0.901 0.848 0.547
O2 0.099 0.348 0.953
O3 0.099 0.152 0.453
O4 0.901 0.652 0.047
Cl1 0.689 0.429 0.367
Cl2 0.311 0.929 0.133
Cl3 0.689 0.071 0.867
Cl4 0.311 0.571 0.633


Sb2Ru | r2SCAN | optimized geometry

Magnetic moment   0.00 μB/f.u.
ΔH_f (0 K)   -84 kJ/mol of formula units

abc: 3.214 5.977 6.718
angles: 90.00 90.00 90.00
Element x y z (fractional)
Sb1 0.500 0.317 0.858
Sb2 0.000 0.817 0.642
Sb3 0.000 0.183 0.358
Sb4 0.500 0.683 0.142
Ru1 0.500 0.500 0.500
Ru2 0.000 0.000 0.000


Nd2S3 | r2SCAN | optimized geometry

Magnetic moment   0.00 μB/f.u.
ΔH_f (0 K)   -1147 kJ/mol of formula units

abc: 4.054 7.512 15.666
angles: 90.00 90.00 90.00
Element x y z (fractional)
S1 0.250 0.646 0.719
S2 0.250 0.146 0.781
S3 0.250 0.010 0.391
S4 0.250 0.374 0.567
S5 0.750 0.354 0.281
S6 0.750 0.626 0.433
S7 0.250 0.510 0.109
S8 0.750 0.854 0.219
S9 0.750 0.490 0.891
S10 0.250 0.874 0.933
S11 0.750 0.990 0.609
S12 0.750 0.126 0.067
Nd1 0.250 0.145 0.204
Nd2 0.750 0.235 0.456
Nd3 0.250 0.645 0.296
Nd4 0.750 0.855 0.796
Nd5 0.250 0.765 0.544
Nd6 0.250 0.265 0.956
Nd7 0.750 0.355 0.704
Nd8 0.750 0.735 0.044


DyMn6Ge6 | r2SCAN | optimized geometry

Magnetic moment   12.90 μB/f.u.
ΔH_f (0 K)   -433 kJ/mol of formula units

abc: 5.159 5.159 8.169
angles: 90.00 90.00 120.00
Element x y z (fractional)
Mn1 0.500 0.500 0.748
Mn2 0.000 0.500 0.252
Mn3 0.500 0.000 0.748
Mn4 0.500 0.000 0.252
Mn5 0.000 0.500 0.748
Mn6 0.500 0.500 0.252
Ge1 0.000 0.000 0.656
Ge2 0.000 0.000 0.344
Ge3 0.667 0.333 0.500
Ge4 0.667 0.333 0.000
Ge5 0.333 0.667 0.000
Ge6 0.333 0.667 0.500
Dy1 0.000 0.000 0.000


NdSn4Rh2 | r2SCAN | optimized geometry

Magnetic moment   0.00 μB/f.u.
ΔH_f (0 K)   -443 kJ/mol of formula units

abc: 4.489 7.220 18.534
angles: 90.00 90.00 90.00
Element x y z (fractional)
Nd1 0.750 0.502 0.642
Nd2 0.750 0.998 0.142
Nd3 0.250 0.498 0.358
Nd4 0.250 0.002 0.858
Rh1 0.750 0.017 0.712
Rh2 0.750 0.483 0.212
Rh3 0.250 0.748 0.034
Rh4 0.750 0.248 0.466
Rh5 0.250 0.983 0.288
Rh6 0.750 0.252 0.966
Rh7 0.250 0.517 0.788
Rh8 0.250 0.752 0.534
Sn1 0.250 0.803 0.682
Sn2 0.250 0.024 0.433
Sn3 0.250 0.223 0.696
Sn4 0.250 0.131 0.032
Sn5 0.750 0.777 0.304
Sn6 0.250 0.277 0.196
Sn7 0.250 0.697 0.182
Sn8 0.750 0.197 0.318
Sn9 0.250 0.476 0.933
Sn10 0.250 0.369 0.532
Sn11 0.750 0.723 0.804
Sn12 0.750 0.976 0.567
Sn13 0.750 0.869 0.968
Sn14 0.750 0.303 0.818
Sn15 0.750 0.524 0.067
Sn16 0.750 0.631 0.468


Ho6FeBi2 | r2SCAN | optimized geometry

Magnetic moment   0.74 μB/f.u.
ΔH_f (0 K)   -420 kJ/mol of formula units

abc: 8.283 8.283 4.180
angles: 90.00 90.00 120.00
Element x y z (fractional)
Ho1 0.394 0.394 0.500
Ho2 0.000 0.606 0.500
Ho3 0.767 0.767 0.000
Ho4 0.000 0.233 0.000
Ho5 0.233 0.000 0.000
Ho6 0.606 0.000 0.500
Fe1 0.000 0.000 0.500
Bi1 0.667 0.333 0.000
Bi2 0.333 0.667 0.000


HoLuMg2 | r2SCAN | optimized geometry

Magnetic moment   0.00 μB/f.u.
ΔH_f (0 K)   -29 kJ/mol of formula units

abc: 5.292 5.292 5.292
angles: 60.00 60.00 60.00
Element x y z (fractional)
Mg1 0.000 0.000 0.000
Mg2 0.500 0.500 0.500
Lu1 0.750 0.750 0.750
Ho1 0.250 0.250 0.250


Er2AlFe3 | r2SCAN | optimized geometry

Magnetic moment   5.38 μB/f.u.
ΔH_f (0 K)   -76 kJ/mol of formula units

abc: 5.225 5.225 5.249
angles: 90.00 60.17 120.02
Element x y z (fractional)
Fe1 0.250 0.875 0.375
Fe2 0.750 0.375 0.375
Fe3 0.250 0.375 0.375
Er1 0.995 0.997 0.008
Er2 0.505 0.753 0.742
Al1 0.750 0.375 0.875


YMg5 | r2SCAN | optimized geometry

Magnetic moment   0.03 μB/f.u.
ΔH_f (0 K)   0 kJ/mol of formula units

abc: 5.733 5.733 5.151
angles: 90.00 90.00 120.00
Element x y z (fractional)
Mg1 0.667 0.333 0.500
Mg2 0.638 0.000 0.000
Mg3 0.333 0.667 0.500
Mg4 0.362 0.362 0.000
Mg5 0.000 0.638 0.000
Y1 0.000 0.000 0.500


ReCl3 | r2SCAN | optimized geometry

Magnetic moment   0.00 μB/f.u.
ΔH_f (0 K)   -298 kJ/mol of formula units

abc: 9.341 9.341 9.341
angles: 66.86 66.86 66.86
Element x y z (fractional)
Cl1 0.878 0.878 0.409
Cl2 0.173 0.491 0.491
Cl3 0.827 0.509 0.509
Cl4 0.409 0.878 0.878
Cl5 0.720 0.036 0.720
Cl6 0.280 0.964 0.280
Cl7 0.122 0.591 0.122
Cl8 0.720 0.720 0.036
Cl9 0.591 0.122 0.122
Cl10 0.036 0.720 0.720
Cl11 0.964 0.280 0.280
Cl12 0.509 0.509 0.827
Cl13 0.878 0.409 0.878
Cl14 0.509 0.827 0.509
Cl15 0.491 0.491 0.173
Cl16 0.280 0.280 0.964
Cl17 0.122 0.122 0.591
Cl18 0.491 0.173 0.491
Re1 0.355 0.355 0.120
Re2 0.645 0.645 0.880
Re3 0.120 0.355 0.355
Re4 0.880 0.645 0.645
Re5 0.355 0.120 0.355
Re6 0.645 0.880 0.645


Er2Te4O11 | r2SCAN | optimized geometry

Magnetic moment   0.00 μB/f.u.
ΔH_f (0 K)   -3358 kJ/mol of formula units

abc: 6.651 6.651 16.011
angles: 75.44 75.44 44.91
Element x y z (fractional)
Er1 0.630 0.132 0.036
Er2 0.868 0.370 0.464
Er3 0.370 0.868 0.964
Er4 0.132 0.630 0.536
Te1 0.159 0.597 0.198
Te2 0.155 0.591 0.874
Te3 0.841 0.403 0.802
Te4 0.403 0.841 0.302
Te5 0.845 0.409 0.126
Te6 0.591 0.155 0.374
Te7 0.409 0.845 0.626
Te8 0.597 0.159 0.698
O1 0.246 0.339 0.447
O2 0.661 0.754 0.053
O3 0.684 0.810 0.374
O4 0.823 0.037 0.456
O5 0.850 0.150 0.750
O6 0.316 0.190 0.626
O7 0.810 0.684 0.874
O8 0.190 0.316 0.126
O9 0.339 0.246 0.947
O10 0.963 0.177 0.044
O11 0.555 0.398 0.595
O12 0.795 0.910 0.166
O13 0.037 0.823 0.956
O14 0.205 0.090 0.834
O15 0.602 0.445 0.905
O16 0.910 0.795 0.666
O17 0.445 0.602 0.405
O18 0.150 0.850 0.250
O19 0.090 0.205 0.334
O20 0.177 0.963 0.544
O21 0.754 0.661 0.553
O22 0.398 0.555 0.095


Ce3Se4 | r2SCAN | optimized geometry

Magnetic moment   3.98 μB/f.u.
ΔH_f (0 K)   -1505 kJ/mol of formula units

abc: 7.825 7.832 7.832
angles: 109.52 109.47 109.47
Element x y z (fractional)
Se1 0.500 0.000 0.354
Se2 0.148 0.147 0.148
Se3 0.852 0.499 0.999
Se4 0.352 0.499 0.999
Se5 0.000 0.353 0.500
Se6 0.000 0.854 0.500
Se7 0.648 0.648 0.647
Se8 0.500 0.000 0.853
Ce1 0.377 0.250 0.626
Ce2 0.123 0.749 0.873
Ce3 0.623 0.373 0.249
Ce4 0.750 0.876 0.126
Ce5 0.250 0.626 0.376
Ce6 0.877 0.126 0.750


NaDyO2 | r2SCAN | optimized geometry

Magnetic moment   0.00 μB/f.u.
ΔH_f (0 K)   -1197 kJ/mol of formula units

abc: 8.251 8.251 6.017
angles: 59.73 120.27 74.16
Element x y z (fractional)
Dy1 0.557 0.557 0.250
Dy2 0.817 0.817 0.250
Dy3 0.183 0.183 0.750
Dy4 0.443 0.443 0.750
Na1 0.306 0.306 0.250
Na2 0.694 0.694 0.750
Na3 0.930 0.930 0.750
Na4 0.070 0.070 0.250
O1 0.332 0.792 0.249
O2 0.668 0.208 0.751
O3 0.437 0.936 0.793
O4 0.563 0.064 0.207
O5 0.936 0.437 0.707
O6 0.064 0.563 0.293
O7 0.792 0.332 0.251
O8 0.208 0.668 0.749


SiO2 | r2SCAN | optimized geometry

Magnetic moment   0.00 μB/f.u.
ΔH_f (0 K)   -877 kJ/mol of formula units

abc: 5.023 5.041 6.981
angles: 90.00 90.00 90.00
Element x y z (fractional)
Si1 0.000 0.046 0.625
Si2 0.500 0.454 0.125
Si3 0.000 0.546 0.875
Si4 0.500 0.954 0.375
O1 0.303 0.516 0.948
O2 0.948 0.344 0.700
O3 0.303 0.016 0.552
O4 0.948 0.844 0.800
O5 0.448 0.656 0.300
O6 0.448 0.156 0.200
O7 0.803 0.484 0.052
O8 0.803 0.984 0.448